Record 1
The following is a DFT calculation (GGA-PBE) of a geometry-optimized BaHo2O4 structure.

Summary:
Space-group type: Pnma (62)
DFT formation energy: -3699 meV/atom

Lattice parameters (Å, degrees): 10.478 3.465 12.162 90.00 90.00 90.00
Positions (direct):
Ba1 0.247 0.250 0.149
Ba2 0.253 0.750 0.649
Ba3 0.747 0.250 0.351
Ba4 0.753 0.750 0.851
Ho1 0.073 0.250 0.389
Ho2 0.078 0.250 0.891
Ho3 0.422 0.750 0.391
Ho4 0.427 0.750 0.889
Ho5 0.573 0.250 0.111
Ho6 0.578 0.250 0.609
Ho7 0.922 0.750 0.109
Ho8 0.927 0.750 0.611
O1 0.019 0.750 0.783
O2 0.070 0.250 0.574
O3 0.114 0.750 0.018
O4 0.209 0.750 0.343
O5 0.291 0.250 0.843
O6 0.386 0.250 0.518
O7 0.430 0.750 0.074
O8 0.481 0.250 0.283
O9 0.519 0.750 0.717
O10 0.570 0.250 0.926
O11 0.614 0.750 0.482
O12 0.709 0.750 0.157
O13 0.791 0.250 0.657
O14 0.886 0.250 0.982
O15 0.930 0.750 0.426
O16 0.981 0.250 0.217

=====

Record 2
The following is a DFT calculation (GGA-PBE) of a geometry-optimized Ba2HoPaO6 structure.

Summary:
Space-group type: Fm-3m (225)
DFT formation energy: -3756 meV/atom

Lattice parameters (Å, degrees): 6.256 6.256 6.256 60.00 60.00 60.00
Positions (direct):
Ba1 0.250 0.250 0.250
Ba2 0.750 0.750 0.750
Ho1 0.000 0.000 0.000
Pa1 0.500 0.500 0.500
O1 0.253 0.253 0.747
O2 0.253 0.747 0.253
O3 0.253 0.747 0.747
O4 0.747 0.253 0.253
O5 0.747 0.253 0.747
O6 0.747 0.747 0.253

=====

Record 3
The following is a DFT calculation (GGA-PBE) of a geometry-optimized Ba8Ho3Pt4O18 structure.

Summary:
Space-group type: Pm-3m (221)
DFT formation energy: -2664 meV/atom

Lattice parameters (Å, degrees): 8.470 8.470 8.470 90.00 90.00 90.00
Positions (direct):
Ba1 0.237 0.237 0.237
Ba2 0.237 0.237 0.763
Ba3 0.237 0.763 0.237
Ba4 0.237 0.763 0.763
Ba5 0.763 0.237 0.237
Ba6 0.763 0.237 0.763
Ba7 0.763 0.763 0.237
Ba8 0.763 0.763 0.763
Ho1 0.000 0.000 0.500
Ho2 0.000 0.500 0.000
Ho3 0.500 0.000 0.000
Pt1 0.000 0.000 0.000
Pt2 0.000 0.500 0.500
Pt3 0.500 0.000 0.500
Pt4 0.500 0.500 0.000
O1 0.000 0.000 0.239
O2 0.000 0.000 0.761
O3 0.000 0.239 0.000
O4 0.000 0.261 0.500
O5 0.000 0.500 0.261
O6 0.000 0.500 0.739
O7 0.000 0.739 0.500
O8 0.000 0.761 0.000
O9 0.239 0.000 0.000
O10 0.261 0.000 0.500
O11 0.261 0.500 0.000
O12 0.500 0.000 0.261
O13 0.500 0.000 0.739
O14 0.500 0.261 0.000
O15 0.500 0.739 0.000
O16 0.739 0.000 0.500
O17 0.739 0.500 0.000
O18 0.761 0.000 0.000

=====

Record 4
The following is a DFT calculation (GGA-PBE) of a geometry-optimized Ba17Ho16Zn8Pt4O57 structure.

Summary:
Space-group type: I4/m (87)
DFT formation energy: -2997 meV/atom

Lattice parameters (Å, degrees): 16.574 16.574 16.574 91.73 91.73 160.00
Positions (direct):
Ba1 0.000 0.000 0.000
Ba2 0.068 0.442 0.509
Ba3 0.112 0.276 0.388
Ba4 0.189 0.732 0.921
Ba5 0.268 0.189 0.457
Ba6 0.276 0.888 0.165
Ba7 0.342 0.649 0.992
Ba8 0.351 0.342 0.693
Ba9 0.442 0.932 0.374
Ba10 0.558 0.068 0.626
Ba11 0.649 0.658 0.307
Ba12 0.658 0.351 0.008
Ba13 0.724 0.112 0.835
Ba14 0.732 0.811 0.543
Ba15 0.811 0.268 0.079
Ba16 0.888 0.724 0.612
Ba17 0.932 0.558 0.491
Ho1 0.050 0.674 0.724
Ho2 0.052 0.828 0.880
Ho3 0.172 0.052 0.224
Ho4 0.251 0.506 0.757
Ho5 0.326 0.050 0.376
Ho6 0.400 0.511 0.912
Ho7 0.489 0.400 0.889
Ho8 0.494 0.251 0.744
Ho9 0.506 0.749 0.256
Ho10 0.511 0.600 0.111
Ho11 0.600 0.489 0.088
Ho12 0.674 0.950 0.624
Ho13 0.749 0.494 0.243
Ho14 0.828 0.948 0.776
Ho15 0.948 0.172 0.120
Ho16 0.950 0.326 0.276
Zn1 0.076 0.133 0.209
Zn2 0.133 0.924 0.058
Zn3 0.212 0.379 0.592
Zn4 0.379 0.788 0.167
Zn5 0.621 0.212 0.833
Zn6 0.788 0.621 0.408
Zn7 0.867 0.076 0.942
Zn8 0.924 0.867 0.791
Pt1 0.144 0.583 0.727
Pt2 0.417 0.144 0.562
Pt3 0.583 0.856 0.438
Pt4 0.856 0.417 0.273
O1 0.001 0.177 0.681
O2 0.055 0.565 0.620
O3 0.074 0.277 0.852
O4 0.074 0.720 0.311
O5 0.112 0.879 0.479
O6 0.121 0.600 0.233
O7 0.158 0.159 0.317
O8 0.159 0.842 0.002
O9 0.161 0.186 0.845
O10 0.177 0.495 0.176
O11 0.186 0.341 0.025
O12 0.222 0.074 0.797
O13 0.231 0.608 0.839
O14 0.236 0.926 0.646
O15 0.239 0.299 0.538
O16 0.277 0.425 0.203
O17 0.280 0.591 0.354
O18 0.299 0.761 0.060
O19 0.316 0.161 0.975
O20 0.319 0.001 0.824
O21 0.341 0.316 0.155
O22 0.367 0.888 0.767
O23 0.392 0.231 0.624
O24 0.400 0.633 0.521
O25 0.409 0.764 0.689
O26 0.425 0.222 0.148
O27 0.435 0.055 0.490
O28 0.495 0.319 0.319
O29 0.500 0.500 0.000
O30 0.505 0.681 0.681
O31 0.565 0.945 0.510
O32 0.575 0.778 0.852
O33 0.591 0.236 0.311
O34 0.600 0.367 0.479
O35 0.608 0.769 0.376
O36 0.633 0.112 0.233
O37 0.659 0.684 0.845
O38 0.681 0.999 0.176
O39 0.684 0.839 0.025
O40 0.701 0.239 0.940
O41 0.720 0.409 0.646
O42 0.723 0.575 0.797
O43 0.761 0.701 0.462
O44 0.764 0.074 0.354
O45 0.769 0.392 0.161
O46 0.778 0.926 0.203
O47 0.814 0.659 0.975
O48 0.823 0.505 0.824
O49 0.839 0.814 0.155
O50 0.841 0.158 0.998
O51 0.842 0.841 0.683
O52 0.879 0.400 0.767
O53 0.888 0.121 0.521
O54 0.926 0.280 0.689
O55 0.926 0.723 0.148
O56 0.945 0.435 0.380
O57 0.999 0.823 0.319

=====

Record 5
The following is a DFT calculation (GGA-PBE) of a geometry-optimized Ba4HoRu3O12 structure.

Summary:
Space-group type: R-3m (166)
DFT formation energy: -2525 meV/atom

Lattice parameters (Å, degrees): 10.394 10.394 10.394 33.22 33.22 33.22
Positions (direct):
Ba1 0.129 0.129 0.129
Ba2 0.286 0.286 0.286
Ba3 0.714 0.714 0.714
Ba4 0.871 0.871 0.871
Ho1 0.000 0.000 0.000
Ru1 0.413 0.413 0.413
Ru2 0.500 0.500 0.500
Ru3 0.587 0.587 0.587
O1 0.147 0.612 0.612
O2 0.219 0.219 0.692
O3 0.219 0.692 0.219
O4 0.308 0.781 0.781
O5 0.388 0.388 0.853
O6 0.388 0.853 0.388
O7 0.612 0.147 0.612
O8 0.612 0.612 0.147
O9 0.692 0.219 0.219
O10 0.781 0.308 0.781
O11 0.781 0.781 0.308
O12 0.853 0.388 0.388

=====

Record 6
The following is a DFT calculation (GGA-PBE) of a geometry-optimized Ba2HoSbO6 structure.

Summary:
Space-group type: Fm-3m (225)
DFT formation energy: -3101 meV/atom

Lattice parameters (Å, degrees): 6.014 6.014 6.014 60.00 60.00 60.00
Positions (direct):
Ba1 0.250 0.250 0.250
Ba2 0.750 0.750 0.750
Ho1 0.000 0.000 0.000
Sb1 0.500 0.500 0.500
O1 0.263 0.263 0.737
O2 0.263 0.737 0.263
O3 0.263 0.737 0.737
O4 0.737 0.263 0.263
O5 0.737 0.263 0.737
O6 0.737 0.737 0.263

=====

Record 7
The following is a DFT calculation (GGA-PBE) of a geometry-optimized BaHo4Si5O17 structure.

Summary:
Space-group type: P2_1/m (11)
DFT formation energy: -3645 meV/atom

Lattice parameters (Å, degrees): 5.570 19.944 6.923 90.00 106.66 90.00
Positions (direct):
Ba1 0.244 0.250 0.313
Ba2 0.756 0.750 0.687
Ho1 0.301 0.039 0.617
Ho2 0.301 0.461 0.617
Ho3 0.352 0.658 0.019
Ho4 0.352 0.842 0.019
Ho5 0.648 0.158 0.981
Ho6 0.648 0.342 0.981
Ho7 0.699 0.539 0.383
Ho8 0.699 0.961 0.383
Si1 0.065 0.250 0.782
Si2 0.197 0.061 0.095
Si3 0.197 0.439 0.095
Si4 0.229 0.636 0.493
Si5 0.229 0.864 0.493
Si6 0.771 0.136 0.507
Si7 0.771 0.364 0.507
Si8 0.803 0.561 0.905
Si9 0.803 0.939 0.905
Si10 0.935 0.750 0.218
O1 0.000 0.000 0.000
O2 0.000 0.500 0.000
O3 0.019 0.184 0.631
O4 0.019 0.316 0.631
O5 0.041 0.128 0.115
O6 0.041 0.372 0.115
O7 0.103 0.563 0.518
O8 0.103 0.937 0.518
O9 0.134 0.750 0.084
O10 0.359 0.250 0.919
O11 0.362 0.673 0.705
O12 0.362 0.827 0.705
O13 0.370 0.073 0.940
O14 0.370 0.427 0.940
O15 0.375 0.034 0.314
O16 0.375 0.466 0.314
O17 0.422 0.630 0.352
O18 0.422 0.870 0.352
O19 0.578 0.130 0.648
O20 0.578 0.370 0.648
O21 0.625 0.534 0.686
O22 0.625 0.966 0.686
O23 0.630 0.573 0.060
O24 0.630 0.927 0.060
O25 0.638 0.173 0.295
O26 0.638 0.327 0.295
O27 0.641 0.750 0.081
O28 0.866 0.250 0.916
O29 0.897 0.063 0.482
O30 0.897 0.437 0.482
O31 0.959 0.628 0.885
O32 0.959 0.872 0.885
O33 0.981 0.684 0.369
O34 0.981 0.816 0.369

=====

Record 8
The following is a DFT calculation (GGA-PBE) of a geometry-optimized Ba2HoTaO6 structure.

Summary:
Space-group type: I4/m (87)
DFT formation energy: -3593 meV/atom

Lattice parameters (Å, degrees): 6.023 6.023 6.023 120.10 120.10 89.83
Positions (direct):
Ba1 0.250 0.750 0.500
Ba2 0.750 0.250 0.500
Ho1 0.000 0.000 0.000
Ta1 0.500 0.500 0.000
O1 0.244 0.284 0.528
O2 0.264 0.264 0.000
O3 0.284 0.756 0.040
O4 0.716 0.244 0.960
O5 0.736 0.736 0.000
O6 0.756 0.716 0.472